Entry 1:
Pr2O3 PBE-GGA optimized geometry; DFT total energy = -8.204 eV/atom; formation energy from the elements = -3.7351 eV/atom; ρ = 6.090 g cm⁻³; SG = Ia-3 (206)
1.0
-5.645 5.645 5.645
5.645 -5.645 5.645
5.645 5.645 -5.645
Pr O
16 24
Direct
0.220 0.970 0.250 Pr
0.720 0.470 0.250 Pr
0.280 0.530 0.750 Pr
0.250 0.220 0.970 Pr
0.970 0.250 0.220 Pr
0.530 0.750 0.280 Pr
0.500 0.000 0.000 Pr
0.000 0.500 0.000 Pr
0.750 0.780 0.030 Pr
0.470 0.250 0.720 Pr
0.780 0.030 0.750 Pr
0.250 0.720 0.470 Pr
0.000 0.000 0.500 Pr
0.750 0.280 0.530 Pr
0.030 0.750 0.780 Pr
0.500 0.500 0.500 Pr
0.271 0.012 0.040 O
0.012 0.040 0.271 O
0.540 0.528 0.769 O
0.988 0.960 0.729 O
0.759 0.028 0.488 O
0.528 0.769 0.540 O
0.229 0.269 0.741 O
0.488 0.759 0.028 O
0.741 0.229 0.269 O
0.472 0.231 0.460 O
0.028 0.488 0.759 O
0.972 0.512 0.241 O
0.769 0.540 0.528 O
0.729 0.988 0.960 O
0.259 0.771 0.731 O
0.960 0.729 0.988 O
0.231 0.460 0.472 O
0.512 0.241 0.972 O
0.771 0.731 0.259 O
0.731 0.259 0.771 O
0.241 0.972 0.512 O
0.040 0.271 0.012 O
0.269 0.741 0.229 O
0.460 0.472 0.231 O


Entry 2:
Er2Mn12P7 PBE-GGA optimized geometry; DFT total energy = -8.191 eV/atom; formation energy from the elements = -0.7157 eV/atom; ρ = 7.517 g cm⁻³; SG = P-6 (174)
1.0
-6.991 -1.085 6.010
2.764 -7.144 -5.245
2.335 -0.963 2.542
Mn P Er
12 7 2
Direct
0.716 0.760 0.000 Mn
0.547 0.057 0.000 Mn
0.240 0.956 0.000 Mn
0.943 0.490 0.000 Mn
0.439 0.209 0.500 Mn
0.621 0.896 0.500 Mn
0.791 0.230 0.500 Mn
0.770 0.561 0.500 Mn
0.104 0.725 0.500 Mn
0.275 0.379 0.500 Mn
0.510 0.453 0.000 Mn
0.044 0.284 0.000 Mn
0.385 0.924 0.500 P
0.957 0.745 0.000 P
0.255 0.212 0.000 P
0.540 0.615 0.500 P
0.788 0.043 0.000 P
0.076 0.460 0.500 P
0.667 0.333 0.000 P
0.333 0.667 0.000 Er
0.000 0.000 0.500 Er